[1]
Entry from Materials Project: a relaxed structure of Li6V3P8O29 (PBE+U).

Summary:
DFT formation energy   -2.6612 eV per atom
ΔE to the lowest computed polymorph   0.03 kcal/mol of atoms

Structure (extended XYZ):
```
92
Lattice="-1.8943 8.5142 4.4403 -3.4141 -8.3644 3.8199 11.6928 -1.3125 7.4918" Properties=species:S:1:pos:R:3 pbc="T T T"
O 2.1399 1.4906 11.5360
O 9.6793 -1.2096 8.8629
O 8.5145 -3.2304 7.9422
O 6.7794 1.3076 6.7479
O -1.2835 -0.2102 8.3917
O 5.1096 4.8309 9.9733
O 6.0105 -1.6788 12.0713
O 2.5033 1.4448 2.8103
O 0.6596 2.4656 7.9454
O -3.3208 0.1067 6.8909
O 3.1960 2.2683 7.7965
O 6.2036 0.6171 14.3472
O 2.3979 -1.0969 4.9733
O 4.0012 -0.0497 10.7837
O 1.7290 1.1787 6.0319
O 2.3617 5.9385 8.5719
O 3.2176 -3.4382 7.9383
O 0.6951 -1.2153 7.1351
O -0.9839 4.2582 6.6738
O 0.0233 -2.0046 1.4166
O 0.0027 -4.7467 7.5894
O -0.3933 -1.6931 4.7113
O 4.5704 1.4438 4.3118
O 0.6922 2.9627 3.8033
O 2.2122 -2.0815 2.6863
O 9.2740 5.5629 10.4891
O 5.7223 0.0174 8.6770
O -0.9892 0.7359 6.0235
O 4.4493 2.4338 11.0534
O 1.2664 -6.0227 5.7845
O 2.0289 -3.6001 4.7200
O 5.9494 -7.5615 8.6386
O 0.1650 5.4549 4.8099
O 1.9329 3.7166 6.1246
O 3.8099 -2.5576 12.8570
O -0.4274 -2.4593 9.0371
O 0.3459 0.4820 3.6521
O 6.8251 0.5871 11.1512
O 7.6551 -0.9577 7.3450
O 7.4626 -5.5629 8.9885
O 5.1762 5.6578 7.5803
O 4.5945 -2.3580 9.7618
O 0.3118 1.7966 1.5339
O 8.1592 1.6498 9.2536
O 5.7458 -3.5833 7.8175
O -0.5960 -4.2041 4.6641
O 4.4538 -4.9064 9.5918
O 1.0062 -0.4316 9.5047
O -2.6074 -2.7125 4.1186
O 5.3523 -0.7225 6.2851
O 7.3510 -1.8281 9.7122
O 6.1972 -6.6098 10.9308
O 5.6077 -4.1892 12.1359
O 7.1557 3.1159 11.0860
O -1.6865 -2.9402 6.5195
O 9.1012 1.5836 11.5937
O 6.4209 3.5408 8.2192
O -2.0980 2.0894 7.8003
Li 3.0045 -6.3713 8.6606
Li 3.7472 0.2354 5.5875
Li 3.3289 5.2021 7.0473
Li 8.4916 4.5365 11.9367
Li -0.8633 -0.8683 2.7647
Li 5.2730 -2.6388 5.8375
Li -1.0429 2.7604 5.1299
Li -5.0377 0.2474 8.0216
Li 10.0597 0.7716 8.8263
Li 1.0624 1.4879 9.8792
Li 2.6124 -1.4251 10.1505
Li 7.2550 -0.3254 12.9831
P 3.6182 1.2272 11.5646
P 5.9277 4.9413 8.6662
P -1.4105 -2.8925 4.9706
P -1.9769 0.6760 7.2368
P 2.7647 -2.3675 4.1856
P 5.4086 -2.8687 12.8836
P 7.0347 -6.8777 9.6431
P 1.9322 2.4191 7.0194
P 6.3076 -0.0736 7.2456
P 7.8329 1.7319 10.7863
P -0.6387 5.6616 6.0879
P 4.4662 -3.5675 8.7494
P 0.4326 -6.1267 7.0741
P 0.0621 -1.0920 8.5337
P 0.9174 1.7056 2.9017
P 8.3311 -1.8085 8.5458
V 5.7550 -0.8981 10.3161
V 0.9408 -5.0292 4.0500
V 0.6108 -0.2778 5.4914
V -1.6004 -3.8575 8.1377
V 5.4162 3.8871 11.7251
V 7.9711 2.7137 7.5663
```

[2]
Entry from Materials Project: a relaxed structure of Sr2CaWO6 (PBE+U).

Summary:
DFT formation energy   -3.0289 eV per atom

Structure (extended XYZ):
```
10
Lattice="-5.8345 0.0000 0.0000 2.9172 -2.9172 -4.2243 0.0000 -5.8345 0.0000" Properties=species:S:1:pos:R:3 pbc="T T T"
O -4.8889 -1.7126 0.0000
O -1.7126 -0.9455 0.0000
O -4.1219 -4.8889 0.0000
O -0.9455 -4.1219 0.0000
O 0.0000 -5.8345 -1.9551
O -2.9172 -2.9172 -2.2693
W 0.0000 0.0000 0.0000
Ca -2.9172 -2.9172 0.0000
Sr 0.0000 -2.9172 -2.1122
Sr -2.9172 -5.8345 -2.1122
```

[3]
Entry from Materials Project: a relaxed structure of FeH12C4S4O6 (PBE+U).

Summary:
DFT formation energy   -0.8099 eV per atom

Structure (extended XYZ):
```
27
Lattice="6.7214 0.2407 2.1598 0.8516 6.9606 2.3853 0.3729 0.1483 7.6338" Properties=species:S:1:pos:R:3 pbc="T T T"
H 2.1616 2.6895 3.0914
H 6.6438 3.5700 9.8096
H 5.7844 4.6601 9.0876
H 3.4501 2.1844 5.1075
H 6.0632 5.0411 5.3263
H 1.8828 2.3085 6.8526
H 1.3021 3.7796 2.3693
H 1.7821 2.3860 8.4877
H 6.1638 4.9636 3.6913
H 4.4958 5.1653 7.0715
H 2.9071 3.6577 5.1824
H 5.0389 3.6920 6.9966
S 5.1901 1.0844 4.0619
S 2.7558 6.2652 8.1170
S 2.5477 6.0672 4.1962
S 5.3982 1.2824 7.9828
C 1.7183 6.7227 6.9084
C 6.2277 0.6270 5.2705
C 6.3063 0.7006 6.7237
C 1.6396 6.6490 5.4552
O 1.9280 3.0322 2.2070
O 2.6465 2.7229 5.3169
O 5.2994 4.6267 6.8621
O 6.0180 4.3174 9.9719
O 1.3138 2.0849 7.6431
O 6.6321 5.2647 4.5359
Fe 0.0000 0.0000 0.0000
```

[4]
Entry from Materials Project: a relaxed structure of Li7VO4F2 (PBE+U).

Summary:
DFT formation energy   -1.7838 eV per atom
ΔE to the lowest computed polymorph   14.35 kcal/mol of atoms

Structure (extended XYZ):
```
28
Lattice="-5.5267 0.0000 0.0000 2.6936 5.2111 0.0000 -0.0649 -2.9400 -9.3941" Properties=species:S:1:pos:R:3 pbc="T T T"
Li -0.5780 3.8187 -1.7857
Li -0.9910 0.6037 -6.9053
Li -3.6572 2.4919 -2.9966
Li 0.1248 -0.1692 -2.3759
Li -4.1667 -0.2063 -8.2059
Li 1.8204 2.3207 -5.1380
Li -2.9222 -1.5746 -5.7947
Li -2.0914 1.4745 -0.4585
Li -0.6794 0.8879 -8.9168
Li -0.0939 4.0278 -3.6004
Li 2.2958 2.6352 -7.1808
Li -1.7047 1.3010 -2.3535
Li -4.7631 -0.2482 -4.2409
Li 1.3285 2.3829 -1.1553
F -0.9536 -1.1299 -5.7028
F -3.9723 0.8779 -0.5716
F -1.4511 2.4579 -7.5770
F -2.8530 0.9843 -6.5043
O -0.0285 2.1067 -5.0990
O -1.5200 -0.3246 -1.8328
O 0.0017 1.4904 -2.8684
O 1.1585 1.2449 -8.9856
O -2.2862 3.0987 -1.0925
O -0.5083 -0.8693 -8.4439
O -2.9455 0.3954 -4.2205
O -1.9978 3.4276 -3.5813
V -1.3416 1.3457 -4.4429
V 2.4887 5.0947 -0.0930
```

[5]
Entry from Materials Project: a relaxed structure of LiMnP3HO10 (PBE+U).

Summary:
DFT formation energy   -2.4287 eV per atom
ΔE to the lowest computed polymorph   0.00 kcal/mol of atoms

Structure (extended XYZ):
```
64
Lattice="-2.1649 -1.2435 4.3515 -4.7026 -10.3288 -5.2910 11.9597 -7.4087 3.8330" Properties=species:S:1:pos:R:3 pbc="T T T"
O -0.5838 -9.5943 0.2545
O -0.0471 -10.8261 -1.8677
O 4.7320 -10.3999 2.1982
O -2.7408 -10.1949 -2.3824
O 2.3237 -15.5971 -0.3327
O -1.6179 -12.4602 -3.8462
O 6.5269 -6.0788 2.6027
O 4.7461 -5.0870 4.0574
O 0.8118 -2.1717 2.5991
O 2.8286 -12.0169 2.6648
O 1.4130 -6.1713 0.7181
O -1.7717 -11.8144 -0.2521
O 6.1924 -13.9601 0.3410
O 0.6866 -11.7369 0.3708
O 1.0745 -6.3680 3.2495
O -3.0096 -9.2628 0.9622
O 7.2802 -6.8739 6.9224
O -3.0598 -5.3935 0.0863
O 2.1989 -14.6614 2.0108
O 6.7051 -11.0181 0.7067
O -0.7052 -5.1249 -0.7228
O 5.0539 -13.6612 2.6160
O 6.2079 -8.5449 1.3243
O 7.3140 -9.5020 5.4582
O -4.4035 -11.0630 -0.6606
O -1.5965 -7.3689 0.0682
O 6.5730 -15.6464 2.1822
O 3.4055 -6.3614 2.2773
O -1.0428 -8.3160 2.3695
O 5.6353 -7.4246 4.5716
O 0.9994 -3.1463 0.2757
O 4.3704 -15.5514 1.0170
O -5.2181 -10.4470 -2.9472
O 2.0629 -4.2603 2.3063
O 7.0171 -10.2174 3.0688
O 9.2920 -10.2709 4.0887
O -1.1364 -5.4594 1.7642
O 4.0308 -12.1600 0.4250
O 2.5878 -10.1406 1.0239
O 8.2386 -8.0181 3.5862
P -4.0079 -11.0134 -2.1378
P -1.5733 -5.8011 0.3402
P 1.9771 -5.8702 2.1061
P 5.5963 -14.6478 1.5826
P -0.4431 -11.0741 -0.4009
P 6.2314 -10.0058 1.7021
P 5.9853 -6.0380 4.0330
P 2.8090 -15.7854 1.2096
P 8.0165 -9.4438 4.0896
P 3.5507 -11.2502 1.5550
P -1.6209 -8.6767 1.0370
P 1.8016 -2.8970 1.5296
Mn -0.8874 -6.4636 3.4050
Mn 5.9155 -8.3603 6.2475
Mn -1.1415 -10.4234 -3.4559
Mn 5.6614 -12.3201 -0.6134
Li 4.7761 -7.2054 1.1741
Li -0.8107 -2.6377 -0.3002
Li 0.9013 -13.2448 1.5907
Li -4.6854 -8.6771 0.1165
H 1.7438 -10.6369 0.7077
H 6.5436 -16.9332 1.2964
H 4.0859 -5.4778 3.3718
H 8.8856 -11.7742 3.9605
```

[6]
Entry from Materials Project: a relaxed structure of LiV9O22 (PBE+U).

Summary:
DFT formation energy   -2.3030 eV per atom
ΔE to the lowest computed polymorph   0.13 kcal/mol of atoms

Structure (extended XYZ):
```
64
Lattice="3.6810 0.0000 0.0000 0.0000 10.3066 0.0000 0.0000 5.1222 21.2003" Properties=species:S:1:pos:R:3 pbc="T T T"
O 2.7607 8.4217 9.4113
O 2.7607 10.7566 14.1357
O 0.9202 2.2876 8.3349
O 0.9202 1.3437 1.7221
O 0.9202 8.0969 0.1575
O 2.7607 11.4960 10.1247
O 0.9202 8.3753 7.2241
O 2.7607 5.9496 0.0699
O 0.9202 14.2551 17.5266
O 0.9202 4.7948 13.6347
O 2.7607 7.3320 21.0428
O 0.9202 12.7673 14.7843
O 2.7607 2.6615 6.4160
O 2.7607 9.2775 5.3054
O 2.7607 3.7912 9.0407
O 2.7607 6.7697 7.0436
O 0.9202 7.0072 11.7890
O 0.9202 6.2343 2.1383
O 2.7607 6.4113 18.4704
O 2.7607 4.0252 15.5383
O 0.9202 11.4037 5.6620
O 0.9202 8.6592 14.1568
O 2.7607 10.6341 7.5657
O 0.9202 3.6486 4.5605
O 2.7607 14.0852 19.4782
O 2.7607 11.7803 16.6398
O 2.7607 9.1945 19.0620
O 0.9202 6.1514 15.8950
O 0.9202 4.6722 7.0646
O 0.9202 11.6376 12.1596
O 2.7607 7.0536 13.9763
O 0.9202 11.9651 19.0459
O 0.9202 9.4792 21.1304
O 2.7607 13.1413 12.8654
O 0.9202 6.4846 5.0089
O 0.9202 9.0176 2.7299
O 0.9202 5.3537 20.2475
O 2.7607 10.0751 0.9528
O 2.7607 9.3809 11.8486
O 2.7607 8.9443 16.1914
O 0.9202 6.0480 9.3518
O 2.7607 3.4638 2.1544
O 0.9202 3.9329 11.0756
O 2.7607 1.1737 3.6737
V 0.9202 9.6747 1.2692
V 0.9202 6.5051 6.5985
V 0.9202 4.5189 15.8297
V 2.7607 8.9237 14.6019
V 2.7607 12.1509 8.5725
V 2.7607 10.9100 5.3707
V 2.7607 12.3584 15.1491
V 2.7607 11.0265 12.0807
V 2.7607 1.8570 1.9641
V 0.9202 3.2780 12.6279
V 0.9202 3.0705 6.0512
V 2.7607 5.7541 19.9311
V 2.7607 8.6400 7.7240
V 0.9202 4.4023 9.1196
V 0.9202 6.2628 0.5479
V 0.9202 6.7888 13.4763
V 2.7607 9.1660 20.6524
V 0.9202 13.5718 19.2363
Li 0.9202 8.5641 10.3150
Li 2.7607 6.8647 10.8853
```

- What is the DFT formation energy in the fourth record?
  -1.7838 eV per atom